# 1
DFT (GGA-PBE) results for an optimized crystal structure of Rh2C3N6.

## Properties
E (MP2020) (eV/atom): -8.292
ΔE to the lowest computed polymorph (meV/atom): 0
Magnetization (μB per cell): 0.0

The structure in CIF format:
```
data_Rh2C3N6
_chemical_formula_sum 'Rh12 C18 N36'
_symmetry_space_group_name_H-M 'R -3 c'
_symmetry_Int_Tables_number 167
_symmetry_space_group_name_Hall '-R 3 2"c'
_cell_length_a 5.6032
_cell_length_b 5.6032
_cell_length_c 28.0877
_cell_angle_alpha 90.00
_cell_angle_beta 90.00
_cell_angle_gamma 120.00
loop_
_atom_site_label
_atom_site_type_symbol
_atom_site_fract_x
_atom_site_fract_y
_atom_site_fract_z
Rh1 Rh 0.0000 0.0000 0.1650
C1 C 0.0000 0.3204 0.2500
N1 N 0.0021 0.3775 0.5401
```

# 2
DFT (GGA-PBE) results for an optimized crystal structure of Rh2C3N6.

## Properties
E (MP2020) (eV/atom): -8.141
ΔE to the lowest computed polymorph (meV/atom): 151
Magnetization (μB per cell): 0.0

The structure in CIF format:
```
data_Rh2C3N6
_chemical_formula_sum 'Rh4 C6 N12'
_symmetry_space_group_name_H-M 'C 1 2/m 1'
_symmetry_Int_Tables_number 12
_cell_length_a 16.4402
_cell_length_b 3.1832
_cell_length_c 5.1500
_cell_angle_alpha 90.00
_cell_angle_beta 100.38
_cell_angle_gamma 90.00
loop_
_symmetry_equiv_pos_as_xyz
'x,y,z'
'-x,-y,-z'
'-x,y,-z'
'x,-y,z'
'x+1/2,y+1/2,z'
'-x+1/2,-y+1/2,-z'
'-x+1/2,y+1/2,-z'
'x+1/2,-y+1/2,z'
loop_
_atom_site_label
_atom_site_type_symbol
_atom_site_fract_x
_atom_site_fract_y
_atom_site_fract_z
Rh1 Rh 0.1689 0.0000 0.3460
C1 C 0.0000 0.0000 0.5000
C2 C 0.1744 0.5000 0.8464
N1 N 0.0484 0.0000 0.3437
N2 N 0.1597 0.5000 0.0682
N3 N 0.1978 0.5000 0.6249
```

| no. | density (g cm⁻³) | calculated total energy (eV per atom) | ΔE_f (kcal/mol of atoms) |
| --- | --- | --- | --- |
| 1 | 4.251 | -8.0946 | 2.6 |
| 2 | 4.083 | -7.9439 | 6.0 |